Model i:
A relaxed structure of La2HfO5, computed with PBE.

Cell and atoms, written as POSCAR:
```
La2HfO5
1.0
3.909 0.000 0.000
0.000 7.825 0.000
0.000 0.000 16.488
La Hf O
8 4 20
Direct
0.250 0.106 0.083 La
0.250 0.153 0.742 La
0.750 0.347 0.242 La
0.750 0.394 0.583 La
0.250 0.606 0.417 La
0.250 0.653 0.758 La
0.750 0.847 0.258 La
0.750 0.894 0.917 La
0.250 0.110 0.428 Hf
0.750 0.390 0.928 Hf
0.250 0.610 0.072 Hf
0.750 0.890 0.572 Hf
0.750 0.085 0.172 O
0.750 0.076 0.460 O
0.750 0.109 0.649 O
0.750 0.159 0.996 O
0.250 0.259 0.327 O
0.750 0.241 0.827 O
0.250 0.341 0.496 O
0.250 0.391 0.149 O
0.250 0.424 0.960 O
0.250 0.415 0.672 O
0.750 0.585 0.328 O
0.750 0.576 0.040 O
0.750 0.609 0.851 O
0.750 0.659 0.504 O
0.250 0.759 0.173 O
0.750 0.741 0.673 O
0.250 0.841 0.004 O
0.250 0.891 0.351 O
0.250 0.924 0.540 O
0.250 0.915 0.828 O
```

***

Model ii:
A relaxed structure of La2HfO5, computed with PBE.

Cell and atoms, written as POSCAR:
```
La2HfO5
1.0
-6.659 0.478 1.754
-4.768 -4.833 1.247
-1.069 -1.119 7.746
La Hf O
4 2 10
Direct
0.369 0.343 0.769 La
0.343 0.369 0.269 La
0.657 0.631 0.731 La
0.631 0.657 0.231 La
0.000 0.000 0.500 Hf
0.000 0.000 0.000 Hf
0.240 0.611 0.967 O
0.611 0.240 0.467 O
0.990 0.678 0.634 O
0.322 0.010 0.866 O
0.678 0.990 0.134 O
0.010 0.322 0.366 O
0.389 0.760 0.533 O
0.843 0.157 0.750 O
0.760 0.389 0.033 O
0.157 0.843 0.250 O
```

***

Stability, highest: model i

***

Model i:
A relaxed structure of La2HfO5, computed with PBE.

Cell and atoms, written as POSCAR:
```
La2HfO5
1.0
3.971 0.000 0.000
0.000 11.330 0.000
0.000 0.000 11.856
La Hf O
8 4 20
Direct
0.250 0.102 0.282 La
0.250 0.132 0.937 La
0.750 0.368 0.437 La
0.750 0.398 0.782 La
0.250 0.602 0.218 La
0.250 0.632 0.563 La
0.750 0.868 0.063 La
0.750 0.898 0.718 La
0.250 0.191 0.624 Hf
0.750 0.309 0.124 Hf
0.250 0.691 0.876 Hf
0.750 0.809 0.376 Hf
0.750 0.006 0.899 O
0.250 0.026 0.671 O
0.750 0.223 0.273 O
0.250 0.231 0.457 O
0.750 0.246 0.620 O
0.250 0.254 0.120 O
0.750 0.269 0.957 O
0.250 0.277 0.773 O
0.750 0.474 0.171 O
0.250 0.494 0.399 O
0.750 0.506 0.601 O
0.250 0.526 0.829 O
0.750 0.723 0.227 O
0.250 0.731 0.043 O
0.750 0.746 0.880 O
0.250 0.754 0.380 O
0.750 0.769 0.543 O
0.250 0.777 0.727 O
0.750 0.974 0.329 O
0.250 0.994 0.101 O
```

***

Model ii:
A relaxed structure of La2HfO5, computed with PBE.

Cell and atoms, written as POSCAR:
```
La2HfO5
1.0
2.114 -6.009 0.000
2.114 6.009 0.000
0.000 0.000 11.195
La Hf O
4 2 10
Direct
0.862 0.138 0.571 La
0.862 0.138 0.929 La
0.138 0.862 0.071 La
0.138 0.862 0.429 La
0.830 0.170 0.250 Hf
0.170 0.830 0.750 Hf
0.949 0.051 0.120 O
0.717 0.283 0.403 O
0.949 0.051 0.380 O
0.717 0.283 0.097 O
0.717 0.283 0.750 O
0.283 0.717 0.250 O
0.051 0.949 0.620 O
0.051 0.949 0.880 O
0.283 0.717 0.597 O
0.283 0.717 0.903 O
```

***

Stability, highest: model i

***

Model i:
A relaxed structure of NaHfMg14O15, computed with PBE.

Cell and atoms, written as POSCAR:
```
NaHfMg14O15
1.0
-2.434 5.630 -6.075
2.053 -5.712 -6.116
-4.031 -1.595 0.137
Na Hf Mg O
1 1 14 15
Direct
0.000 0.000 0.000 Na
0.493 0.500 0.000 Hf
0.999 0.500 0.000 Mg
0.500 0.000 0.000 Mg
0.001 0.245 0.500 Mg
0.001 0.755 0.500 Mg
0.499 0.240 0.500 Mg
0.499 0.760 0.500 Mg
0.244 0.000 0.500 Mg
0.244 0.500 0.500 Mg
0.756 0.000 0.500 Mg
0.759 0.500 0.500 Mg
0.240 0.241 0.000 Mg
0.240 0.759 0.000 Mg
0.760 0.243 0.000 Mg
0.760 0.757 0.000 Mg
0.267 0.000 0.000 O
0.734 0.000 0.000 O
0.751 0.500 0.000 O
0.251 0.245 0.500 O
0.251 0.755 0.500 O
0.748 0.251 0.500 O
0.748 0.749 0.500 O
0.999 0.000 0.500 O
0.000 0.500 0.500 O
0.501 0.000 0.500 O
0.506 0.500 0.500 O
0.000 0.265 0.000 O
0.000 0.735 0.000 O
0.501 0.257 0.000 O
0.501 0.743 0.000 O
```

***

Model ii:
A relaxed structure of NaHfMg14O15, computed with PBE.

Cell and atoms, written as POSCAR:
```
NaHfMg14O15
1.0
8.611 0.000 0.000
0.000 8.650 0.000
0.000 0.000 4.330
Na Hf Mg O
1 1 14 15
Direct
0.000 0.000 0.000 Na
0.008 0.500 0.000 Hf
0.500 0.000 0.000 Mg
0.501 0.500 0.000 Mg
0.001 0.236 0.500 Mg
0.001 0.764 0.500 Mg
0.499 0.248 0.500 Mg
0.499 0.752 0.500 Mg
0.249 0.000 0.500 Mg
0.253 0.500 0.500 Mg
0.751 0.000 0.500 Mg
0.744 0.500 0.500 Mg
0.256 0.240 0.000 Mg
0.256 0.760 0.000 Mg
0.745 0.243 0.000 Mg
0.745 0.757 0.000 Mg
0.265 0.000 0.000 O
0.735 0.000 0.000 O
0.746 0.500 0.000 O
0.250 0.246 0.500 O
0.250 0.754 0.500 O
0.751 0.251 0.500 O
0.751 0.749 0.500 O
0.999 0.000 0.500 O
0.995 0.500 0.500 O
0.501 0.000 0.500 O
0.500 0.500 0.500 O
0.999 0.263 0.000 O
0.999 0.737 0.000 O
0.500 0.254 0.000 O
0.500 0.746 0.000 O
```

***

Stability, highest: model ii

***

Model i:
A relaxed structure of NaHfMg14O15, computed with PBE.

Cell and atoms, written as POSCAR:
```
NaHfMg14O15
1.0
-5.410 6.698 0.251
-6.168 -5.106 3.323
1.365 0.953 3.999
Na Hf Mg O
1 1 14 15
Direct
0.002 0.000 0.000 Na
0.501 0.500 0.000 Hf
0.000 0.500 0.000 Mg
0.499 0.000 0.000 Mg
0.000 0.245 0.500 Mg
0.000 0.755 0.500 Mg
0.500 0.240 0.500 Mg
0.500 0.760 0.500 Mg
0.246 0.000 0.500 Mg
0.240 0.500 0.500 Mg
0.756 0.000 0.500 Mg
0.760 0.500 0.500 Mg
0.242 0.245 0.000 Mg
0.242 0.755 0.000 Mg
0.759 0.241 0.000 Mg
0.759 0.759 0.000 Mg
0.251 0.500 0.000 O
0.736 0.000 0.000 O
0.749 0.500 0.000 O
0.253 0.255 0.500 O
0.253 0.745 0.500 O
0.748 0.252 0.500 O
0.748 0.748 0.500 O
0.001 0.000 0.500 O
0.000 0.500 0.500 O
0.502 0.000 0.500 O
0.500 0.500 0.500 O
0.000 0.265 0.000 O
0.000 0.735 0.000 O
0.502 0.252 0.000 O
0.502 0.748 0.000 O
```

***

Model ii:
A relaxed structure of NaHfMg14O15, computed with PBE.

Cell and atoms, written as POSCAR:
```
NaHfMg14O15
1.0
8.648 0.000 0.000
0.000 8.702 0.000
0.000 0.000 4.325
Na Hf Mg O
1 1 14 15
Direct
0.003 0.000 0.000 Na
0.999 0.500 0.000 Hf
0.499 0.000 0.000 Mg
0.501 0.500 0.000 Mg
0.001 0.235 0.500 Mg
0.001 0.765 0.500 Mg
0.500 0.247 0.500 Mg
0.500 0.753 0.500 Mg
0.250 0.000 0.500 Mg
0.258 0.500 0.500 Mg
0.752 0.000 0.500 Mg
0.743 0.500 0.500 Mg
0.257 0.246 0.000 Mg
0.257 0.754 0.000 Mg
0.745 0.241 0.000 Mg
0.745 0.759 0.000 Mg
0.255 0.500 0.000 O
0.736 0.000 0.000 O
0.746 0.500 0.000 O
0.249 0.254 0.500 O
0.249 0.746 0.500 O
0.752 0.251 0.500 O
0.752 0.749 0.500 O
0.001 0.000 0.500 O
0.000 0.500 0.500 O
0.502 0.000 0.500 O
0.500 0.500 0.500 O
0.999 0.263 0.000 O
0.999 0.737 0.000 O
0.501 0.254 0.000 O
0.501 0.746 0.000 O
```

***

Stability, highest: model ii

***

Model i:
A relaxed structure of HfMg6Nb, computed with PBE.

Cell and atoms, written as POSCAR:
```
HfMg6Nb
1.0
-0.586 3.661 3.463
-1.173 -4.085 4.121
11.092 -0.625 2.538
Hf Mg Nb
2 12 2
Direct
0.500 0.500 0.172 Hf
0.500 0.000 0.672 Hf
0.500 0.250 0.422 Mg
0.500 0.750 0.422 Mg
0.000 0.755 0.085 Mg
0.000 0.245 0.085 Mg
0.000 0.000 0.319 Mg
0.000 0.500 0.326 Mg
0.500 0.750 0.922 Mg
0.500 0.250 0.922 Mg
0.000 0.255 0.585 Mg
0.000 0.745 0.585 Mg
0.000 0.500 0.819 Mg
0.000 0.000 0.826 Mg
0.500 0.000 0.170 Nb
0.500 0.500 0.670 Nb
```

***

Model ii:
A relaxed structure of HfMg6Nb, computed with PBE.

Cell and atoms, written as POSCAR:
```
HfMg6Nb
1.0
4.963 0.000 0.000
0.000 6.181 0.000
0.000 0.000 11.270
Hf Mg Nb
2 12 2
Direct
0.500 0.500 0.196 Hf
0.500 0.000 0.696 Hf
0.000 0.745 0.074 Mg
0.000 0.255 0.074 Mg
0.000 0.000 0.329 Mg
0.500 0.258 0.426 Mg
0.500 0.742 0.426 Mg
0.500 0.000 0.171 Mg
0.000 0.245 0.574 Mg
0.000 0.755 0.574 Mg
0.000 0.500 0.829 Mg
0.500 0.758 0.926 Mg
0.500 0.242 0.926 Mg
0.500 0.500 0.671 Mg
0.000 0.500 0.304 Nb
0.000 0.000 0.804 Nb
```

***

Stability, highest: model ii

***

Model i:
A relaxed structure of HfMg14NbO16, computed with PBE.

Cell and atoms, written as POSCAR:
```
HfMg14NbO16
1.0
8.684 0.000 0.000
0.000 8.684 0.000
0.000 0.000 4.371
Hf Mg Nb O
1 14 1 16
Direct
0.500 0.500 0.000 Hf
0.000 0.500 0.000 Mg
0.500 0.000 0.000 Mg
0.000 0.252 0.500 Mg
0.000 0.748 0.500 Mg
0.500 0.244 0.500 Mg
0.500 0.756 0.500 Mg
0.252 0.000 0.500 Mg
0.244 0.500 0.500 Mg
0.748 0.000 0.500 Mg
0.756 0.500 0.500 Mg
0.246 0.246 0.000 Mg
0.246 0.754 0.000 Mg
0.754 0.246 0.000 Mg
0.754 0.754 0.000 Mg
0.000 0.000 0.000 Nb
0.264 0.000 0.000 O
0.248 0.500 0.000 O
0.736 0.000 0.000 O
0.752 0.500 0.000 O
0.251 0.251 0.500 O
0.251 0.749 0.500 O
0.749 0.251 0.500 O
0.749 0.749 0.500 O
0.000 0.000 0.500 O
0.000 0.500 0.500 O
0.500 0.000 0.500 O
0.500 0.500 0.500 O
0.000 0.264 0.000 O
0.000 0.736 0.000 O
0.500 0.248 0.000 O
0.500 0.752 0.000 O
```

***

Model ii:
A relaxed structure of HfMg14NbO16, computed with PBE.

Cell and atoms, written as POSCAR:
```
HfMg14NbO16
1.0
-6.781 -3.642 -4.129
5.451 -3.999 -5.424
0.185 -3.384 2.681
Hf Mg Nb O
1 14 1 16
Direct
0.000 0.500 0.000 Hf
0.500 0.000 0.000 Mg
0.500 0.500 0.000 Mg
0.000 0.241 0.500 Mg
0.000 0.759 0.500 Mg
0.500 0.248 0.500 Mg
0.500 0.752 0.500 Mg
0.255 0.000 0.500 Mg
0.260 0.500 0.500 Mg
0.745 0.000 0.500 Mg
0.740 0.500 0.500 Mg
0.255 0.242 0.000 Mg
0.255 0.758 0.000 Mg
0.745 0.242 0.000 Mg
0.745 0.758 0.000 Mg
0.000 0.000 0.000 Nb
0.270 0.000 0.000 O
0.254 0.500 0.000 O
0.730 0.000 0.000 O
0.746 0.500 0.000 O
0.249 0.251 0.500 O
0.249 0.749 0.500 O
0.751 0.251 0.500 O
0.751 0.749 0.500 O
0.000 0.000 0.500 O
0.000 0.500 0.500 O
0.500 0.000 0.500 O
0.500 0.500 0.500 O
0.000 0.262 0.000 O
0.000 0.738 0.000 O
0.500 0.254 0.000 O
0.500 0.746 0.000 O
```

***

Stability, highest: model ii